Density functional theory data (PBE with a Hubbard U) for a geometry-optimized Li5Fe4P8O28 structure.

Unit cell a=9.7574 b=9.7743 c=11.1369 alpha=90.37 beta=101.64 gamma=90.16
With the nearest neighbours (Å) after each atom.
Sites, in units of the cell vectors:
1 Li 0.0931 0.1046 0.0284  4 O 1.83-1.96
2 Li 0.4196 0.6011 0.9780  4 O 1.87-2.06
3 Li 0.3251 0.9167 0.4571  3 O 1.86-2.00
4 Li 0.3871 0.2177 0.5481  3 O 1.91-2.01
5 Li 0.6174 0.7908 0.4582  4 O 1.94-2.16
6 Li 0.8490 0.5894 0.9569  3 O 1.96-2.01
7 Li 0.6474 0.0971 0.0421  2 O 1.89-2.04
8 Li 0.9069 0.8911 0.9707  4 O 1.88-1.97
9 Li 0.8522 0.5709 0.4754  3 O 1.82-2.01
10 Li 0.8824 0.2806 0.5477  3 O 1.91-2.05
11 Fe 0.2055 0.9146 0.6777  4 O 1.93-2.13
12 Fe 0.2549 0.2137 0.8270  4 O 1.92-2.12
13 Fe 0.2515 0.7060 0.1775  5 O 1.96-2.12
14 Fe 0.2932 0.4263 0.3302  6 O 1.98-2.16
15 Fe 0.7019 0.5778 0.6766  6 O 2.06-2.26
16 Fe 0.7448 0.2958 0.8262  5 O 1.93-2.15
17 Fe 0.7405 0.7796 0.1738  5 O 2.10-2.28
18 Fe 0.7940 0.0702 0.3282  6 O 1.99-2.11
19 P 0.0221 0.4473 0.7529  4 O 1.50-1.61
20 P 0.1186 0.7073 0.8868  4 O 1.50-1.61
21 P 0.0606 0.9246 0.2374  4 O 1.51-1.61
22 P 0.1231 0.1481 0.4226  4 O 1.52-1.61
23 P 0.3767 0.6452 0.5711  4 O 1.51-1.62
24 P 0.4327 0.4248 0.7621  4 O 1.50-1.60
25 P 0.5237 0.0488 0.7515  4 O 1.49-1.59
26 P 0.3844 0.2130 0.1162  4 O 1.48-1.64
27 P 0.6135 0.7924 0.8874  4 O 1.49-1.64
28 P 0.4718 0.9492 0.2441  4 O 1.51-1.60
29 P 0.5654 0.5778 0.2432  4 O 1.50-1.60
30 P 0.6225 0.3503 0.4191  4 O 1.53-1.61
31 P 0.8804 0.8585 0.5718  4 O 1.52-1.62
32 P 0.9394 0.0760 0.7620  4 O 1.50-1.59
33 P 0.8867 0.2876 0.1164  4 O 1.49-1.61
34 P 0.9749 0.5534 0.2414  4 O 1.48-1.63
35 O 0.0081 0.4235 0.6180  1 P 1.50
36 O 0.0348 0.8541 0.5669  1 P 1.52
37 O 0.0907 0.0862 0.7337  1 P 1.57
38 O 0.1073 0.5888 0.7838  2 P 1.61
39 O 0.1087 0.3419 0.8381  1 P 1.54
40 O 0.1777 0.8283 0.8263  1 P 1.53
41 O 0.2236 0.6572 0.0029  1 P 1.56
42 O 0.0284 0.2582 0.0929  1 P 1.49
43 O 0.1210 0.0689 0.2954  2 P 1.61
44 O 0.0625 0.9306 0.1028  1 P 1.51
45 O 0.1318 0.5390 0.2218  1 P 1.60
46 O 0.1902 0.2864 0.4076  1 P 1.52
47 O 0.1682 0.8163 0.2976  1 P 1.55
48 O 0.2198 0.0649 0.5225  1 P 1.54
49 O 0.2903 0.5627 0.4673  1 P 1.51
50 O 0.3405 0.3053 0.6975  1 P 1.55
51 O 0.3151 0.7878 0.5922  1 P 1.55
52 O 0.3700 0.0386 0.7788  1 P 1.59
53 O 0.3757 0.5651 0.6981  2 P 1.60-1.62
54 O 0.4180 0.4288 0.8934  1 P 1.50
55 O 0.4711 0.7631 0.9104  1 P 1.49
56 O 0.2755 0.1629 0.9992  1 P 1.58
57 O 0.3247 0.3303 0.1812  1 P 1.53
58 O 0.3894 0.0900 0.2168  2 P 1.60-1.64
59 O 0.4101 0.5870 0.2641  1 P 1.58
60 O 0.3896 0.8435 0.1545  1 P 1.54
61 O 0.4709 0.3394 0.4368  1 P 1.53
62 O 0.5230 0.0871 0.6217  1 P 1.49
63 O 0.4749 0.9165 0.3769  1 P 1.51
64 O 0.5294 0.6636 0.5601  1 P 1.53
65 O 0.6138 0.1447 0.8504  1 P 1.57
66 O 0.5860 0.4084 0.7402  1 P 1.57
67 O 0.5951 0.9022 0.7746  2 P 1.59-1.64
68 O 0.6904 0.6734 0.8395  1 P 1.54
69 O 0.7156 0.8637 0.9974  1 P 1.57
70 O 0.5254 0.2284 0.0871  1 P 1.48
71 O 0.5772 0.5902 0.1113  1 P 1.50
72 O 0.6169 0.4290 0.2918  2 P 1.60-1.61
73 O 0.6231 0.9685 0.2178  1 P 1.57
74 O 0.6914 0.2127 0.4031  1 P 1.53
75 O 0.6631 0.6826 0.3217  1 P 1.54
76 O 0.7184 0.4334 0.5205  1 P 1.54
77 O 0.7873 0.9349 0.4661  1 P 1.53
78 O 0.8448 0.1968 0.7066  1 P 1.55
79 O 0.8158 0.7181 0.5853  1 P 1.53
80 O 0.8764 0.4631 0.7940  1 P 1.59
81 O 0.9367 0.0639 0.8958  1 P 1.50
82 O 0.8711 0.9389 0.6977  2 P 1.59-1.62
83 O 0.9756 0.7288 0.9135  1 P 1.50
84 O 0.7877 0.3455 0.9978  1 P 1.58
85 O 0.8125 0.1680 0.1695  1 P 1.56
86 O 0.8938 0.6401 0.1362  1 P 1.54
87 O 0.9016 0.4029 0.2222  2 P 1.61-1.63
88 O 0.9127 0.9130 0.2678  1 P 1.55
89 O 0.9700 0.1573 0.4367  1 P 1.54
90 O 0.9678 0.5955 0.3682  1 P 1.48

Output
Theoretical density in Mg/m³: 3.0
Energy of formation from the pure elements in eV per atom: -2.48
Energy above the lowest structure with this stoichiometry in eV/f.u.: 0.55
Symmetry: P1